The following is a DFT calculation (r²SCAN) of a relaxed AcZnAu2 crystal.

a = 5.1298 Å, b = 5.1298 Å, c = 5.1298 Å
α = 60.00°, β = 60.00°, γ = 60.00°
Closest atoms and distances in Å follow each position.
Fractional positions:
Au (0.0000, 0.0000, 0.0000)  4 Zn 3.14, 4 Ac 3.14
Zn (0.7500, 0.7500, 0.7500)  8 Au 3.14
Au (0.5000, 0.5000, 0.5000)  4 Ac 3.14, 4 Zn 3.14
Ac (0.2500, 0.2500, 0.2500)  8 Au 3.14

Calculated values
Magnetization in μB per atom: 0.000
DFT total energy in eV/atom: -45.22


The following is a DFT calculation (r²SCAN) of a relaxed AcBr3 crystal.

a = 8.1683 Å, b = 8.1683 Å, c = 4.7235 Å
α = 90.00°, β = 90.00°, γ = 120.00°
Closest atoms and distances in Å follow each position.
Fractional positions:
Br (0.3002, 0.9146, 0.7500)  3 Ac 3.21-3.23
Br (0.6998, 0.0854, 0.2500)  3 Ac 3.21-3.23
Br (0.6144, 0.6998, 0.7500)  3 Ac 3.21-3.23
Br (0.9146, 0.6144, 0.2500)  3 Ac 3.21-3.23
Br (0.3856, 0.3002, 0.2500)  3 Ac 3.21-3.23
Ac (0.6667, 0.3333, 0.7500)  9 Br 3.21-3.23
Br (0.0854, 0.3856, 0.7500)  3 Ac 3.21-3.23
Ac (0.3333, 0.6667, 0.2500)  9 Br 3.21-3.23

Calculated values
Magnetization in μB per atom: 0.000
DFT total energy in eV/atom: -29.50


The following is a DFT calculation (r²SCAN) of a relaxed AcBrO crystal.

a = 4.3104 Å, b = 4.3104 Å, c = 7.5428 Å
α = 90.00°, β = 90.00°, γ = 90.00°
Closest atoms and distances in Å follow each position.
Fractional positions:
Ac (0.7500, 0.7500, 0.8350)  4 O 2.49
Br (0.7500, 0.7500, 0.3653)  5 Ac 3.40-3.54, 4 O 3.50, 4 Br 3.66
O (0.7500, 0.2500, 0.0000)  4 Ac 2.49
Ac (0.2500, 0.2500, 0.1650)  4 O 2.49
O (0.2500, 0.7500, 0.0000)  4 Ac 2.49
Br (0.2500, 0.2500, 0.6347)  5 Ac 3.40-3.54, 4 O 3.50, 4 Br 3.66

Calculated values
Magnetization in μB per atom: 0.000
DFT total energy in eV/atom: -32.61


DFT formation energy / kJ/mol of formula units: -210, -926, -962